Record 1
{"formula": "InSeI", "functional": "PBE", "state": "optimized geometry", "lattice": [[-9.674, 9.674, 5.199], [9.674, -9.674, 5.199], [9.674, 9.674, -5.199]], "species": ["In", "In", "In", "In", "In", "In", "In", "In", "In", "In", "In", "In", "In", "In", "In", "In", "Se", "Se", "Se", "Se", "Se", "Se", "Se", "Se", "Se", "Se", "Se", "Se", "Se", "Se", "Se", "Se", "I", "I", "I", "I", "I", "I", "I", "I", "I", "I", "I", "I", "I", "I", "I", "I"], "fractional_positions": [[0.040, 0.365, 0.391], [0.135, 0.026, 0.675], [0.149, 0.540, 0.175], [0.179, 0.280, 0.203], [0.220, 0.923, 0.899], [0.423, 0.024, 0.703], [0.474, 0.649, 0.109], [0.476, 0.679, 0.399], [0.524, 0.321, 0.601], [0.526, 0.351, 0.891], [0.577, 0.976, 0.297], [0.780, 0.077, 0.101], [0.821, 0.720, 0.797], [0.851, 0.460, 0.825], [0.865, 0.974, 0.325], [0.960, 0.635, 0.609], [0.040, 0.290, 0.078], [0.124, 0.256, 0.372], [0.210, 0.789, 0.750], [0.244, 0.116, 0.868], [0.252, 0.624, 0.368], [0.289, 0.038, 0.578], [0.384, 0.752, 0.128], [0.462, 0.540, 0.250], [0.538, 0.460, 0.750], [0.616, 0.248, 0.872], [0.711, 0.962, 0.422], [0.748, 0.376, 0.632], [0.756, 0.884, 0.132], [0.790, 0.211, 0.250], [0.876, 0.744, 0.628], [0.960, 0.710, 0.922], [0.032, 0.398, 0.575], [0.043, 0.468, 0.867], [0.102, 0.177, 0.633], [0.153, 0.078, 0.137], [0.323, 0.457, 0.925], [0.422, 0.059, 0.075], [0.441, 0.017, 0.363], [0.483, 0.347, 0.425], [0.517, 0.653, 0.575], [0.559, 0.983, 0.637], [0.578, 0.941, 0.925], [0.677, 0.543, 0.075], [0.847, 0.922, 0.863], [0.898, 0.823, 0.367], [0.957, 0.532, 0.133], [0.968, 0.602, 0.425]], "formation_enthalpy_0k_kj_per_mol_atoms": -64.11, "space_group": "I4_1/a, No. 88", "magnetic_moment_mub_per_fu": 0.0}



Record 2
{"formula": "Pr2InNi2", "functional": "PBE", "state": "optimized geometry", "lattice": [[7.629, 0.000, 0.000], [0.000, 7.629, 0.000], [0.000, 0.000, 3.821]], "species": ["Pr", "Pr", "Pr", "Pr", "In", "In", "Ni", "Ni", "Ni", "Ni"], "fractional_positions": [[0.176, 0.324, 0.000], [0.324, 0.824, 0.000], [0.676, 0.176, 0.000], [0.824, 0.676, 0.000], [0.000, 0.000, 0.500], [0.500, 0.500, 0.500], [0.117, 0.617, 0.500], [0.383, 0.117, 0.500], [0.617, 0.883, 0.500], [0.883, 0.383, 0.500]], "formation_enthalpy_0k_kj_per_mol_atoms": -39.44, "space_group": "P4/mbm, No. 127"}



Record 3
{"formula": "HCl", "functional": "PBE", "state": "optimized geometry", "lattice": [[3.487, -2.657, 0.000], [3.487, 2.657, 0.000], [0.000, 0.000, 5.368]], "species": ["H", "H", "Cl", "Cl"], "fractional_positions": [[0.066, 0.934, 0.500], [0.934, 0.066, 0.000], [0.221, 0.779, 0.312], [0.779, 0.221, 0.812]], "formation_enthalpy_0k_kj_per_mol_atoms": -78.70, "space_group": "Cmc2_1, No. 36", "piezo_max_c_m2": 0.198}



Record 4
{"formula": "Pa3H", "functional": "PBE", "state": "optimized geometry", "lattice": [[4.285, 0.000, 0.000], [0.000, 4.285, 0.000], [0.000, 0.000, 4.285]], "species": ["Pa", "Pa", "Pa", "H"], "fractional_positions": [[0.000, 0.000, 0.500], [0.000, 0.500, 0.000], [0.500, 0.000, 0.000], [0.500, 0.500, 0.500]], "formation_enthalpy_0k_kj_per_mol_atoms": 46.61, "space_group": "Pm-3m, No. 221", "magnetic_moment_mub_per_fu": 0.0, "polymorph_energy_kj_per_mol_fu": 0}



no.,DFT total energy (eV/atom)
1,-3.13
2,-5.18
3,-3.13
4,-7.46